Entry 1:
DFT (PBE-GGA) results for crystalline Ti2AgN3 at its relaxed geometry.

abc: 3.0619 3.0619 26.0308
angles: 90.00 90.00 120.00
Last column: nearest neighbours and their distance in Å.
Space group P3_121 (No. 152)
Inequivalent atoms, fractional coordinates:
Ti1 0.0059 0.3330 0.3845 x6  6 N 1.98-2.21
Ag1 0.0000 0.3311 0.1667 x3  2 N 2.12
N1 0.0000 0.3392 0.6667 x3  6 Ti 2.21
N2 0.0061 0.3336 0.2479 x6  3 Ti 1.98, 1 Ag 2.12

Entry 2:
DFT (PBE-GGA) results for crystalline KSbCl6 at its relaxed geometry.

abc: 12.2718 6.6302 12.4448
angles: 90.00 101.75 90.00
Last column: nearest neighbours and their distance in Å.
Space group C2/c (No. 15)
Inequivalent atoms, fractional coordinates:
K1 0.0000 0.1124 0.2500 x4  12 Cl 3.63-3.84
Sb1 0.2500 0.2500 0.0000 x4  6 Cl 2.41-2.42
Cl1 0.0779 0.3784 0.8921 x8  1 Sb 2.42
Cl2 0.1514 0.0459 0.5396 x8  1 Sb 2.41
Cl3 0.2128 0.4134 0.1620 x8  1 Sb 2.41

Entry 3:
DFT (PBE-GGA) results for crystalline Ag2Hg3 at its relaxed geometry.

abc: 8.9322 8.9558 14.6041
angles: 90.36 90.55 109.80
Last column: nearest neighbours and their distance in Å.
Space group P1 (No. 1)
Inequivalent atoms, fractional coordinates:
Ag1 0.0000 0.0000 0.0000 x1  8 Hg 2.93-3.21, 3 Ag 3.00-3.15
Ag2 0.9999 0.0035 0.3537 x1  7 Hg 2.94-3.28, 3 Ag 2.97-3.09
Ag3 0.1397 0.8569 0.4978 x1  7 Hg 2.89-3.19, 3 Ag 2.97-3.17
Ag4 0.1486 0.8573 0.8556 x1  7 Hg 2.93-3.26, 3 Ag 3.00-3.09
Ag5 0.1779 0.5371 0.1767 x1  6 Hg 2.90-3.09, 3 Ag 2.94-3.20
Ag6 0.3169 0.3420 0.6814 x1  8 Hg 2.92-3.14, 3 Ag 3.07-3.15
Ag7 0.4665 0.8199 0.1795 x1  3 Ag 2.94-3.12, 8 Hg 2.94-3.28
Ag8 0.4844 0.1709 0.1791 x1  8 Hg 2.90-3.20, 3 Ag 3.09-3.14
Ag9 0.4861 0.8502 0.5100 x1  8 Hg 2.92-3.25, 2 Ag 3.09-3.12
Ag10 0.4869 0.8483 0.8479 x1  9 Hg 3.00-3.28, 3 Ag 3.05-3.16
Ag11 0.4882 0.4856 0.4982 x1  7 Hg 2.93-3.28, 3 Ag 2.98-3.27
Ag12 0.5037 0.5048 0.8529 x1  7 Hg 2.91-3.15, 3 Ag 2.98-3.13
Ag13 0.6341 0.3604 0.0032 x1  8 Hg 2.97-3.27, 3 Ag 2.98-3.24
Ag14 0.6459 0.3617 0.3516 x1  7 Hg 2.91-3.21, 3 Ag 2.98-3.11
Ag15 0.6759 0.0333 0.6778 x1  7 Hg 2.93-3.13, 3 Ag 2.96-3.16
Ag16 0.8247 0.8476 0.1771 x1  8 Hg 2.98-3.17, 3 Ag 3.07-3.12
Ag17 0.9620 0.3233 0.6759 x1  8 Hg 2.95-3.29, 3 Ag 2.96-3.14
Ag18 0.9859 0.6813 0.6791 x1  8 Hg 2.98-3.18, 3 Ag 3.09-3.17
Ag19 0.9875 0.3444 0.3477 x1  9 Hg 2.98-3.26, 3 Ag 3.09-3.20
Ag20 0.9921 0.3484 0.0115 x1  8 Hg 2.93-3.22, 3 Ag 3.07-3.24
Hg1 0.0425 0.0335 0.7037 x1  5 Ag 2.95-3.29, 5 Hg 3.04-3.24
Hg2 0.0771 0.1937 0.1703 x1  6 Ag 2.90-3.16, 2 Hg 3.06-3.07
Hg3 0.1376 0.1998 0.5158 x1  5 Ag 2.92-3.26, 3 Hg 3.01-3.14
Hg4 0.1730 0.8970 0.1607 x1  5 Ag 2.94-3.25, 5 Hg 3.01-3.26
Hg5 0.1940 0.2527 0.8812 x1  4 Ag 2.93-3.14, 5 Hg 3.08-3.24
Hg6 0.2015 0.5597 0.5601 x1  6 Ag 2.99-3.06, 3 Hg 3.05-3.14
Hg7 0.2046 0.5666 0.7912 x1  6 Ag 2.96-3.04, 3 Hg 3.06-3.14
Hg8 0.2695 0.6544 0.9937 x1  4 Ag 2.90-3.14, 3 Hg 2.96-3.06
Hg9 0.3043 0.2920 0.3359 x1  5 Ag 2.91-3.20, 5 Hg 2.96-3.11
Hg10 0.3126 0.6317 0.3603 x1  5 Ag 2.93-3.20, 5 Hg 3.04-3.09
Hg11 0.3268 0.9288 0.6675 x1  6 Ag 2.92-3.19, 2 Hg 3.04
Hg12 0.3628 0.0570 0.9953 x1  5 Ag 2.93-3.28, 4 Hg 3.02-3.15
Hg13 0.3663 0.9890 0.3548 x1  3 Ag 2.89-3.05, 3 Hg 2.96-3.07
Hg14 0.4944 0.1798 0.8105 x1  5 Ag 2.94-3.26, 5 Hg 3.02-3.16
Hg15 0.5059 0.5016 0.1819 x1  4 Ag 2.90-3.21, 4 Hg 2.98-3.24
Hg16 0.5523 0.6763 0.6745 x1  6 Ag 2.99-3.12, 3 Hg 3.08-3.19
Hg17 0.6124 0.6998 0.0163 x1  5 Ag 2.91-3.17, 5 Hg 2.96-3.17
Hg18 0.6467 0.3670 0.6430 x1  4 Ag 2.93-3.13, 5 Hg 3.01-3.27
Hg19 0.6731 0.7182 0.3574 x1  5 Ag 3.01-3.25, 5 Hg 3.05-3.24
Hg20 0.6992 0.0591 0.0579 x1  6 Ag 3.03-3.08, 3 Hg 3.08-3.13
Hg21 0.7107 0.0623 0.2925 x1  6 Ag 2.94-3.05, 3 Hg 3.06-3.14
Hg22 0.7445 0.1662 0.4935 x1  4 Ag 2.93-3.09, 4 Hg 3.06-3.15
Hg23 0.8028 0.7906 0.8311 x1  5 Ag 2.96-3.21, 5 Hg 3.01-3.17
Hg24 0.8188 0.1287 0.8606 x1  5 Ag 2.94-3.25, 5 Hg 3.00-3.16
Hg25 0.8209 0.4098 0.1765 x1  6 Ag 2.97-3.06, 3 Hg 3.07-3.19
Hg26 0.8213 0.8582 0.5446 x1  5 Ag 2.93-3.28, 5 Hg 3.08-3.15
Hg27 0.8413 0.4678 0.8371 x1  6 Hg 3.00-3.31, 5 Ag 3.01-3.22
Hg28 0.8693 0.5373 0.4948 x1  5 Ag 2.93-3.28, 5 Hg 3.01-3.13
Hg29 0.9351 0.6589 0.0227 x1  5 Ag 2.93-3.26, 5 Hg 3.03-3.15
Hg30 0.9955 0.6807 0.3097 x1  5 Ag 2.94-3.19, 5 Hg 3.01-3.10

no.,formation energy from the elements (eV/atom)
1,-1.140
2,-1.493
3,0.082